(1)
DFT (meta-GGA r2SCAN) results for Al3Bi5Br12 after structural relaxation.

Calculated values
formation enthalpy at 0 K = -18.6 eV per formula unit
calculated total energy = -24.520 eV per atom

Cell lengths 12.4344, 12.4344, 31.2823 Å; angles 90.00, 90.00, 120.00 degrees
Space group R-3c (No. 167, hexagonal axes)
One atom of each set of equivalent atoms:
Al1 0.0000 0.4852 0.2500 (multiplicity 18)
Bi1 0.0000 0.0000 0.1728 (multiplicity 12)
Bi2 0.0000 0.1507 0.7500 (multiplicity 18)
Br1 0.0103 0.4129 0.6901 (multiplicity 36)
Br2 0.0458 0.2103 0.9062 (multiplicity 36)

=====

(2)
DFT (meta-GGA r2SCAN) results for TbGa2 after structural relaxation.

Calculated values
formation enthalpy at 0 K = -2.4 eV per formula unit
calculated total energy = -18.822 eV per atom

Cell lengths 4.1758, 4.1758, 4.1453 Å; angles 90.00, 90.00, 120.00 degrees
Space group P6/mmm (No. 191)
One atom of each set of equivalent atoms:
Tb1 0.0000 0.0000 0.0000 (multiplicity 1)
Ga1 0.3333 0.6667 0.5000 (multiplicity 2)

=====

(3)
DFT (meta-GGA r2SCAN) results for Mg9Si5 after structural relaxation.

Calculated values
formation enthalpy at 0 K = -1.7 eV per formula unit
calculated total energy = -5.933 eV per atom

Cell lengths 7.1346, 7.1346, 12.2939 Å; angles 90.00, 90.00, 120.00 degrees
Space group P6_3/m (No. 176)
One atom of each set of equivalent atoms:
Mg1 0.0724 0.3463 0.2500 (multiplicity 6)
Mg2 0.0827 0.4050 0.5833 (multiplicity 12)
Si1 0.0000 0.0000 0.1004 (multiplicity 4)
Si2 0.3333 0.6667 0.0868 (multiplicity 4)
Si3 0.3333 0.6667 0.7500 (multiplicity 2)